Entry from Materials Project: a relaxed structure of Cs2NaMoI6 (PBE).

Values from the calculation:
Space group: No. 225
Final energy in eV per atom: -3.240
Energy relative to the elements in kJ/mol of formula units: -1116.8
Calculated volume in A^3/atom: 43.601

The structure in CIF format:
```
data_Cs2NaMoI6
_cell_length_a 8.511
_cell_length_b 8.511
_cell_length_c 8.511
_cell_angle_alpha 60.00
_cell_angle_beta 60.00
_cell_angle_gamma 60.00
_symmetry_space_group_name_H-M 'P 1'
_symmetry_Int_Tables_number 1
loop_
_symmetry_equiv_pos_as_xyz
'x,y,z'
loop_
_atom_site_label
_atom_site_type_symbol
_atom_site_fract_x
_atom_site_fract_y
_atom_site_fract_z
_atom_site_occupancy
I1 I 0.235 0.765 0.235 1
I2 I 0.235 0.235 0.765 1
I3 I 0.235 0.765 0.765 1
I4 I 0.765 0.235 0.765 1
I5 I 0.765 0.235 0.235 1
I6 I 0.765 0.765 0.235 1
Cs1 Cs 0.250 0.250 0.250 1
Cs2 Cs 0.750 0.750 0.750 1
Na1 Na 0.500 0.500 0.500 1
Mo1 Mo 0.000 0.000 0.000 1
```